Arrangement one

# HfMg14Sb (PBE-GGA, optimized geometry)
# Magnetic moment = 0.00 Bohr magnetons per cell
data_HfMg14Sb
_space_group_name_H-M_alt 'P 1'
_space_group_IT_number 1
_space_group_name_Hall 'P 1'
_cell_length_a 6.402
_cell_length_b 6.278
_cell_length_c 10.336
_cell_angle_alpha 90.00
_cell_angle_beta 90.00
_cell_angle_gamma 119.36
loop_
_atom_site_label
_atom_site_fract_x
_atom_site_fract_y
_atom_site_fract_z
_atom_site_occupancy
Mg1 0.666 0.333 0.625 1
Mg2 0.667 0.831 0.125 1
Mg3 0.831 0.165 0.376 1
Mg4 0.666 0.833 0.625 1
Mg5 0.167 0.833 0.625 1
Mg6 0.831 0.165 0.874 1
Mg7 0.836 0.668 0.374 1
Mg8 0.334 0.164 0.376 1
Sb1 0.164 0.332 0.125 1
Mg9 0.334 0.164 0.874 1
Hf1 0.166 0.833 0.125 1
Mg10 0.836 0.668 0.876 1
Mg11 0.334 0.670 0.874 1
Mg12 0.667 0.336 0.125 1
Mg13 0.334 0.670 0.376 1
Mg14 0.166 0.333 0.625 1


Arrangement two

# HfMg14Sb (PBE-GGA, optimized geometry)
# Magnetic moment = 0.00 Bohr magnetons per cell
data_HfMg14Sb
_space_group_name_H-M_alt 'P 1'
_space_group_IT_number 1
_space_group_name_Hall 'P 1'
_cell_length_a 6.359
_cell_length_b 6.359
_cell_length_c 10.419
_cell_angle_alpha 90.00
_cell_angle_beta 90.00
_cell_angle_gamma 120.00
loop_
_atom_site_label
_atom_site_fract_x
_atom_site_fract_y
_atom_site_fract_z
_atom_site_occupancy
Mg1 0.330 0.659 0.871 1
Hf1 0.167 0.333 0.625 1
Mg2 0.330 0.659 0.379 1
Mg3 0.330 0.170 0.871 1
Mg4 0.841 0.170 0.379 1
Mg5 0.164 0.832 0.125 1
Mg6 0.833 0.667 0.870 1
Mg7 0.664 0.328 0.625 1
Mg8 0.330 0.170 0.379 1
Mg9 0.841 0.170 0.871 1
Mg10 0.664 0.836 0.625 1
Mg11 0.833 0.667 0.380 1
Mg12 0.668 0.832 0.125 1
Mg13 0.172 0.836 0.625 1
Mg14 0.668 0.336 0.125 1
Sb1 0.167 0.333 0.125 1


The structure with the greatest stability is arrangement one.


Arrangement one

# HfMg14V (PBE-GGA, optimized geometry)
# Magnetic moment = 3.33 Bohr magnetons per cell
data_HfMg14V
_space_group_name_H-M_alt 'P 1'
_space_group_IT_number 1
_space_group_name_Hall 'P 1'
_cell_length_a 6.369
_cell_length_b 6.235
_cell_length_c 10.188
_cell_angle_alpha 90.00
_cell_angle_beta 90.00
_cell_angle_gamma 119.31
loop_
_atom_site_label
_atom_site_fract_x
_atom_site_fract_y
_atom_site_fract_z
_atom_site_occupancy
Mg1 0.662 0.335 0.125 1
Mg2 0.330 0.166 0.880 1
Mg3 0.840 0.670 0.375 1
Mg4 0.665 0.332 0.625 1
Mg5 0.842 0.171 0.883 1
Mg6 0.166 0.333 0.625 1
Mg7 0.840 0.670 0.875 1
Mg8 0.167 0.833 0.625 1
Hf1 0.163 0.832 0.125 1
Mg9 0.330 0.166 0.370 1
Mg10 0.662 0.827 0.125 1
V1 0.166 0.333 0.125 1
Mg11 0.842 0.171 0.367 1
Mg12 0.330 0.663 0.880 1
Mg13 0.665 0.834 0.625 1
Mg14 0.330 0.663 0.370 1


Arrangement two

# HfMg14V (PBE-GGA, optimized geometry)
# Magnetic moment = 4.09 Bohr magnetons per cell
data_HfMg14V
_space_group_name_H-M_alt 'P 1'
_space_group_IT_number 1
_space_group_name_Hall 'P 1'
_cell_length_a 6.342
_cell_length_b 6.342
_cell_length_c 10.199
_cell_angle_alpha 90.00
_cell_angle_beta 90.00
_cell_angle_gamma 120.00
loop_
_atom_site_label
_atom_site_fract_x
_atom_site_fract_y
_atom_site_fract_z
_atom_site_occupancy
Mg1 0.329 0.658 0.372 1
Mg2 0.833 0.667 0.871 1
Hf1 0.167 0.333 0.625 1
Mg3 0.666 0.332 0.125 1
Mg4 0.663 0.327 0.625 1
Mg5 0.666 0.834 0.125 1
Mg6 0.329 0.658 0.878 1
Mg7 0.833 0.667 0.379 1
Mg8 0.168 0.834 0.125 1
Mg9 0.663 0.837 0.625 1
Mg10 0.842 0.171 0.878 1
Mg11 0.329 0.171 0.878 1
V1 0.167 0.333 0.125 1
Mg12 0.173 0.837 0.625 1
Mg13 0.842 0.171 0.372 1
Mg14 0.329 0.171 0.372 1


The structure with the greatest stability is arrangement one.